H6PbCBr3N | GGA-PBE | optimized geometry

CIF file:
```
data_H6PbCBr3N
_cell_length_a 8.065
_cell_length_b 12.083
_cell_length_c 8.776
_cell_angle_alpha 90.00
_cell_angle_beta 90.00
_cell_angle_gamma 90.00
_space_group_name_H-M_alt 'P n m a'
_space_group_IT_number 62
loop_
_space_group_symop_operation_xyz
'x,y,z'
'-x,-y,-z'
'-x+1/2,-y,z+1/2'
'x+1/2,y,-z+1/2'
'x+1/2,-y+1/2,-z+1/2'
'-x+1/2,y+1/2,z+1/2'
'-x,y+1/2,-z'
'x,-y+1/2,z'
loop_
_atom_site_label
_atom_site_fract_x
_atom_site_fract_y
_atom_site_fract_z
H1 0.009 0.181 0.155
H2 0.024 0.176 0.878
H3 0.154 0.750 0.056
H4 0.178 0.250 0.095
Pb1 0.000 0.000 0.500
C1 0.019 0.750 0.062
Br1 0.033 0.750 0.482
Br2 0.204 0.529 0.789
N1 0.049 0.250 0.096
```

Properties
final energy: -4.40 eV/atom
corrected total energy (MP2020 scheme): -4.43 eV per atom